Here is an optimized crystal structure of HfTlCuS3 from Materials Project. Energies are from GGA-PBE.

Cell: 3.711 14.407 9.760 Å, 90.00 90.00 90.00°
Space group Cmcm (No. 63)
One atom of each set of equivalent atoms:
1 Hf 0.000 0.000 0.000 (multiplicity 4)
2 Tl 0.000 0.256 0.250 (multiplicity 4)
3 Cu 0.000 0.462 0.750 (multiplicity 4)
4 S 0.000 0.061 0.750 (multiplicity 4)
5 S 0.000 0.380 0.548 (multiplicity 8)

Output
VASP energy, eV per cell: -139.30
Calculated volume, Å³/atom: 21.7
Total energy after the MP2020 corrections, eV/atom: -6.06
Calculated formation energy, kJ/mol of formula units: -724

***

Here is an optimized crystal structure of HfTlCuSe3 from Materials Project. Energies are from GGA-PBE.

Cell: 3.853 14.908 10.147 Å, 90.00 90.00 90.00°
Space group Cmcm (No. 63)
One atom of each set of equivalent atoms:
1 Hf 0.000 0.000 0.000 (multiplicity 4)
2 Tl 0.000 0.248 0.250 (multiplicity 4)
3 Cu 0.000 0.465 0.750 (multiplicity 4)
4 Se 0.000 0.067 0.750 (multiplicity 4)
5 Se 0.000 0.376 0.549 (multiplicity 8)

Output
VASP energy, eV per cell: -128.08
Spin magnetization, μB/f.u.: 0.000
Calculated volume, Å³/atom: 24.3
Total energy after the MP2020 corrections, eV/atom: -5.57
Calculated formation energy, kJ/mol of formula units: -630

***

Here is an optimized crystal structure of Hf3Cu4Si2 from Materials Project. Energies are from GGA-PBE.

Cell: 6.2976 6.2976 3.9694 Å, 90.00 90.00 120.00°
Space group P-62m (No. 189)
One atom of each set of equivalent atoms:
1 Hf 0.0000 0.5862 0.0000 (multiplicity 3)
2 Cu 0.0000 0.0000 0.0000 (multiplicity 1)
3 Cu 0.0000 0.2477 0.5000 (multiplicity 3)
4 Si 0.3333 0.6667 0.5000 (multiplicity 2)

Output
VASP energy, eV per cell: -61.61
Calculated volume, Å³/atom: 15.1
Total energy after the MP2020 corrections, eV/atom: -6.83
Calculated formation energy, kJ/mol of formula units: -420